Entry 1:
! Te4Mo3WSe4 (PBE-GGA, optimized geometry); values from VASP
! E_form ... -0.574 eV/atom
! Spin magnetization ... 0.0 μB/cell
! V ... 33.30 A^3/atom
! Distance to the lowest polymorph of the same formula ... 0 meV per atom
&SYSTEM
  ibrav = 0, nat = 12, ntyp = 4
/
ATOMIC_SPECIES
Se 78.96 Se.upf
Mo 95.94 Mo.upf
Te 127.60 Te.upf
W 183.84 W.upf
ATOMIC_POSITIONS angstrom
Se 0.4692 -9.5042 1.0625
Mo 1.3246 -17.9976 3.8340
Te -0.3115 -15.9592 4.5759
Te -1.3562 -5.5862 1.1910
W 0.5648 -24.6601 7.4152
Mo -0.8339 -10.7720 2.8833
Te 0.0423 -19.4721 5.7223
Se 2.1803 -26.4943 6.6066
Mo -0.0740 -4.1106 -0.6976
Te -1.7101 -2.0727 0.0445
Se 1.8675 -23.3887 5.5932
Se 0.7816 -12.6064 2.0748
CELL_PARAMETERS angstrom
-3.3420 -0.0756 0.7999
1.0357 -0.9220 -3.1451
3.7222 -36.9590 12.0604

***

Entry 2:
! Ba2In2O5 (PBE-GGA, optimized geometry); values from VASP
! E_form ... -2.350 eV/atom
! Spin magnetization ... 0.0 μB/cell
! V ... 17.27 A^3/atom
&SYSTEM
  ibrav = 0, nat = 36, ntyp = 3
/
ATOMIC_SPECIES
Ba 137.33 Ba.upf
O 16.00 O.upf
In 114.82 In.upf
ATOMIC_POSITIONS angstrom
Ba 2.0413 -2.0686 6.4614
Ba 2.0413 2.0489 6.4621
O 4.0827 6.4790 4.3476
O 2.0413 -0.5484 8.6949
O 4.0827 -2.2784 4.3476
In 4.0827 -4.4825 0.0000
O 3.9425 -4.2941 2.2190
In 4.0827 4.2750 0.0000
O 6.1240 0.1951 4.3400
O 2.0413 -3.7703 8.5785
O 4.2229 -4.2941 6.4762
Ba 6.1240 2.0489 2.2330
Ba 6.1240 -2.1425 6.4980
O 4.0886 -0.0769 6.5584
In 4.0827 -8.6774 0.0000
Ba 6.1240 -2.0686 2.2338
O 2.0413 0.1951 4.3551
In 4.0827 4.3930 4.3476
O 4.0886 8.6806 2.1368
O 4.0827 2.1926 0.0000
O 6.1240 -3.7703 0.1166
In 4.0827 0.0800 0.0000
Ba 6.1240 1.9551 6.4791
O 4.0827 -6.5648 0.0000
O 4.0827 -6.4299 4.3476
O 4.0827 2.3275 4.3476
Ba 2.0413 -2.1425 2.1971
In 4.0827 -0.0428 4.3476
O 6.1240 -0.5484 0.0002
O 4.0767 8.6806 6.5584
O 3.9425 4.4634 6.4762
In 4.0827 8.7147 4.3476
Ba 2.0413 1.9551 2.2160
O 4.0767 -0.0769 2.1368
O 4.2229 4.4634 2.2190
In 4.0827 -4.3644 4.3476
CELL_PARAMETERS angstrom
4.0827 -8.7575 0.0000
4.0827 8.7575 0.0000
0.0000 0.0000 8.6951

***

Entry 3:
! LaSn (PBE-GGA, optimized geometry); values from VASP
! E_form ... -0.805 eV/atom
! V ... 32.30 A^3/atom
&SYSTEM
  ibrav = 0, nat = 4, ntyp = 2
/
ATOMIC_SPECIES
La 138.91 La.upf
Sn 118.71 Sn.upf
ATOMIC_POSITIONS angstrom
La 4.8376 1.6398 1.1123
Sn 2.4188 1.0348 3.3370
La 2.4188 4.3625 3.3370
Sn 4.8376 4.9675 1.1123
CELL_PARAMETERS angstrom
0.0000 0.0000 4.4493
4.8376 0.0000 0.0000
2.4188 6.0022 0.0000